(1)
The following is a DFT calculation (GGA-PBE) of a relaxed EuMg5 crystal.

The formation energy from the elements comes out at -0.037 eV/atom.

The structure belongs to space group P-62m (No. 189); the cell edges are 5.9832, 5.9832 and 5.1355 Å and the angles 90.00°, 90.00° and 120.00°. Symmetry generates all atoms from Eu at (0.0000, 0.0000, 0.0000), Mg at (0.0000, 0.5501, 0.5000) and Mg at (0.3333, 0.6667, 0.0000).

(2)
The following is a DFT calculation (GGA-PBE) of a relaxed Eu2Mg crystal.

As for the magnetic moment: 15.1 μB per formula unit. The formation energy from the elements comes out at -0.038 eV/atom.

The structure belongs to space group Cmcm (No. 63); the cell edges are 3.8725, 18.6507 and 5.9975 Å and the angles 90.00°, 90.00° and 90.00°. Symmetry generates all atoms from Eu at (0.0000, 0.0917, 0.2500), Eu at (0.0000, 0.2183, 0.7500) and Mg at (0.0000, 0.4385, 0.2500).

(3)
The following is a DFT calculation (GGA-PBE) of a relaxed Eu2Mg crystal.

The formation energy from the elements comes out at -0.032 eV/atom.

The structure belongs to space group C2/m (No. 12); the cell edges are 12.9160, 3.9179 and 9.4092 Å and the angles 90.00°, 111.95° and 90.00°. Symmetry generates all atoms from Eu at (0.0102, 0.0000, 0.2046), Eu at (0.1609, 0.5000, 0.5948) and Mg at (0.1953, 0.5000, 0.0831).

(4)
The following is a DFT calculation (GGA-PBE) of a relaxed EuMgNi crystal.

As for the magnetic moment: 7.0 μB per formula unit. The formation energy from the elements comes out at -0.039 eV/atom.

The structure belongs to space group P2_13 (No. 198); the cell edges are 6.8035, 6.8035 and 6.8035 Å and the angles 90.00°, 90.00° and 90.00°. Symmetry generates all atoms from Eu at (0.1794, 0.3206, 0.6794), Mg at (0.1543, 0.1543, 0.1543) and Ni at (0.0454, 0.9546, 0.4546).

Summary of E_tot in eV per atom
-3.080, -7.409, -7.404, -5.918
(order as listed above)
Summary of calculated density in g cm⁻³
2.85, 5.03, 4.94, 4.96
(order as listed above)